Record 1
First-principles (GGA+U) data for a relaxed LiMnPH2O5 crystal, as listed in Materials Project.

- total magnetization (μB per atom) = 0.50
- DFT total energy (eV per atom) = -6.48

abc: 11.1916 8.2969 5.1564
angles: 90.00 90.00 90.00
Closest atoms and distances in Å follow each position.
Space group Pna2_1 (No. 33)
Asymmetric unit:
Li1 0.1896 0.1833 0.0000 [4 per cell]  4 O 1.95-2.04
Mn1 0.1231 0.3739 0.4943 [4 per cell]  4 O 2.03-2.09
P1 0.1718 0.5827 0.9938 [4 per cell]  4 O 1.54-1.57
H1 0.0015 0.9415 0.6627 [4 per cell]  1 O 0.99
H2 0.0398 0.8180 0.4515 [4 per cell]  1 O 0.98
O1 0.0186 0.0975 0.9872 [4 per cell]  2 H 0.98-0.99
O2 0.0532 0.6680 0.9270 [4 per cell]  1 P 1.54
O3 0.1707 0.4075 0.8813 [4 per cell]  1 P 1.57
O4 0.1897 0.5729 0.2939 [4 per cell]  1 P 1.56
O5 0.2224 0.1775 0.3718 [4 per cell]  1 P 1.55

=====

Record 2
First-principles (GGA+U) data for a relaxed Li5Co3O8 crystal, as listed in Materials Project.

- total magnetization (μB per atom) = 0.13
- DFT total energy (eV per atom) = -5.49

abc: 10.1570 5.8212 4.9790
angles: 90.00 109.42 90.00
Closest atoms and distances in Å follow each position.
Space group C2/m (No. 12)
Asymmetric unit:
Li1 0.0000 0.0000 0.0000 [2 per cell]  6 O 2.08-2.10
Li2 0.2487 0.0000 0.4976 [4 per cell]  6 O 2.01-2.22
Li3 0.2500 0.2500 0.0000 [4 per cell]  6 O 2.10-2.16
Co1 0.0000 0.2427 0.5000 [4 per cell]  6 O 1.94-2.05
Co2 0.0000 0.5000 0.0000 [2 per cell]  6 O 1.89-1.92
O1 0.1094 0.2719 0.2437 [8 per cell]  2 Co 1.89-1.96, 2 Li 2.07-2.08
O2 0.1121 0.5000 0.7567 [4 per cell]  3 Co 1.92-2.05, 2 Li 2.10
O3 0.1174 0.0000 0.7240 [4 per cell]  2 Co 1.94, 4 Li 2.01-2.14

=====

Record 3
First-principles (GGA+U) data for a relaxed Na3Mn2P2C2O14 crystal, as listed in Materials Project.

- total magnetization (μB per atom) = 0.30
- DFT total energy (eV per atom) = -6.94

abc: 8.3519 8.4694 8.9752
angles: 89.98 88.10 76.37
Closest atoms and distances in Å follow each position.
Space group P-1 (No. 2)
Asymmetric unit:
Na1 0.1075 0.3601 0.2458 [2 per cell]  3 O 2.26-2.53
Na2 0.3818 0.1171 0.7634 [2 per cell]  5 O 2.28-2.48
Na3 0.3862 0.6251 0.2408 [2 per cell]  4 O 2.27-2.45
Mn1 0.0182 0.7385 0.3523 [2 per cell]  6 O 1.92-2.03
Mn2 0.4717 0.7672 0.6581 [2 per cell]  5 O 1.96-2.15
P1 0.2305 0.0113 0.4265 [2 per cell]  4 O 1.53-1.57
P2 0.2663 0.4710 0.5742 [2 per cell]  4 O 1.52-1.57
C1 0.0053 0.2399 0.9194 [2 per cell]  3 O 1.23-1.33
C2 0.4881 0.2583 0.0747 [2 per cell]  3 O 1.25-1.33
O1 0.0230 0.2309 0.0545 [2 per cell]  1 C 1.23
O2 0.0845 0.1624 0.4645 [2 per cell]  1 P 1.57
O3 0.1001 0.1428 0.8194 [2 per cell]  1 C 1.33
O4 0.1089 0.6511 0.1485 [2 per cell]  1 C 1.33
O5 0.1287 0.4112 0.6652 [2 per cell]  1 P 1.57
O6 0.1715 0.8755 0.3406 [2 per cell]  1 P 1.57
O7 0.1946 0.5514 0.4264 [2 per cell]  1 P 1.56
O8 0.3060 0.9463 0.5755 [2 per cell]  1 P 1.54
O9 0.3317 0.5846 0.6734 [2 per cell]  1 P 1.52
O10 0.3517 0.0661 0.3190 [2 per cell]  1 P 1.53
O11 0.3932 0.3550 0.1751 [2 per cell]  1 C 1.33
O12 0.3965 0.8507 0.8631 [2 per cell]  1 C 1.31
O13 0.4094 0.3203 0.5320 [2 per cell]  1 P 1.57
O14 0.4692 0.2714 0.9375 [2 per cell]  1 C 1.25

=====

Record 4
First-principles (GGA+U) data for a relaxed Ba2Ti2Fe2As4O crystal, as listed in Materials Project.

- total magnetization (μB per atom) = 0.74
- DFT total energy (eV per atom) = -5.97

abc: 4.0899 4.0899 28.8725
angles: 90.00 90.00 90.00
Closest atoms and distances in Å follow each position.
Space group I4/mmm (No. 139)
Asymmetric unit:
Ba1 0.0000 0.0000 0.1283 [4 per cell]  8 As 3.45-3.47, 1 O 3.70
Ti1 0.0000 0.5000 0.0000 [4 per cell]  2 O 2.04
Fe1 0.0000 0.5000 0.2500 [4 per cell]  4 As 2.61, 4 Fe 2.89
As1 0.0000 0.0000 0.3064 [4 per cell]  4 Fe 2.61
As2 0.0000 0.0000 0.4382 [4 per cell]  4 Ti 2.71
O1 0.0000 0.0000 0.0000 [2 per cell]  4 Ti 2.04

=====

Record 5
First-principles (GGA+U) data for a relaxed Mn5Si4O14 crystal, as listed in Materials Project.

- total magnetization (μB per atom) = 1.00
- DFT total energy (eV per atom) = -7.78

abc: 5.6819 7.6994 8.0476
angles: 65.43 88.60 72.12
Closest atoms and distances in Å follow each position.
Space group P-1 (No. 2)
Asymmetric unit:
Mn1 0.0000 0.0000 0.0000 [1 per cell]  4 O 1.93-1.94
Mn2 0.0893 0.6058 0.8021 [2 per cell]  3 O 1.91-2.04
Mn3 0.3564 0.5797 0.3079 [2 per cell]  5 O 2.12-2.21
Si1 0.2276 0.2129 0.6138 [2 per cell]  4 O 1.61-1.67
Si2 0.5002 0.2236 0.1418 [2 per cell]  4 O 1.63-1.67
O1 0.0031 0.1912 0.7514 [2 per cell]  1 Si 1.67
O2 0.1400 0.2323 0.4167 [2 per cell]  1 Si 1.61
O3 0.2111 0.3448 0.0391 [2 per cell]  1 Si 1.65
O4 0.2991 0.7868 0.0118 [2 per cell]  1 Si 1.67
O5 0.3113 0.4076 0.5896 [2 per cell]  1 Si 1.64
O6 0.4186 0.6545 0.7574 [2 per cell]  1 Si 1.63
O7 0.4728 0.0106 0.7235 [2 per cell]  2 Si 1.63-1.65

=====

Record 6
First-principles (GGA+U) data for a relaxed CdFe4NiO8 crystal, as listed in Materials Project.

- total magnetization (μB per atom) = 0.57
- DFT total energy (eV per atom) = -6.07

abc: 6.1399 6.1399 15.0424
angles: 90.00 90.00 120.00
Closest atoms and distances in Å follow each position.
Space group R3m (No. 160, hexagonal axes)
Asymmetric unit:
Cd1 0.0000 0.0000 0.0000 [3 per cell]  4 O 2.13-2.14
Fe1 0.0000 0.0000 0.2470 [3 per cell]  4 O 1.96-2.01
Fe2 0.1694 0.3389 0.4563 [9 per cell]  6 O 1.99-2.13
Ni1 0.0000 0.0000 0.6249 [3 per cell]  6 O 2.06-2.16
O1 0.0000 0.0000 0.3807 [3 per cell]  4 Fe 2.01-2.13
O2 0.0000 0.0000 0.8580 [3 per cell]  3 Fe 2.02, 1 Cd 2.14
O3 0.0430 0.5215 0.3822 [9 per cell]  2 Fe 1.99, 1 Ni 2.06, 1 Cd 2.13
O4 0.1735 0.3471 0.2028 [9 per cell]  3 Fe 1.96-2.12, 1 Ni 2.16

=====

Record 7
First-principles (GGA+U) data for a relaxed Mn2OF3 crystal, as listed in Materials Project.

- total magnetization (μB per atom) = 1.50
- DFT total energy (eV per atom) = -6.54

abc: 6.2012 6.2012 4.8619
angles: 90.00 90.00 120.00
Closest atoms and distances in Å follow each position.
Space group P-3m1 (No. 164)
Asymmetric unit:
Mn1 0.0000 0.0000 0.0000 [1 per cell]  6 F 2.15
Mn2 0.0000 0.5000 0.5000 [3 per cell]  2 O 1.94, 4 F 2.16
O1 0.3333 0.6667 0.6551 [2 per cell]  3 Mn 1.94
F1 0.1622 0.3243 0.2579 [6 per cell]  3 Mn 2.15-2.16

=====

Record 8
First-principles (GGA+U) data for a relaxed Ba2LuMoO6 crystal, as listed in Materials Project.

- total magnetization (μB per atom) = 0.10
- DFT total energy (eV per atom) = -7.24

abc: 8.4133 8.4133 8.4133
angles: 90.00 90.00 90.00
Closest atoms and distances in Å follow each position.
Space group Fm-3m (No. 225)
Asymmetric unit:
Ba1 0.2500 0.2500 0.2500 [8 per cell]  12 O 2.98
Lu1 0.0000 0.0000 0.0000 [4 per cell]  6 O 2.19
Mo1 0.0000 0.0000 0.5000 [4 per cell]  6 O 2.01
O1 0.0000 0.0000 0.2609 [24 per cell]  1 Mo 2.01, 1 Lu 2.19

=====

Record 9
First-principles (GGA+U) data for a relaxed Ca4CrFe3O10 crystal, as listed in Materials Project.

- total magnetization (μB per atom) = 1.00
- DFT total energy (eV per atom) = -6.79

abc: 5.6903 5.4931 15.8301
angles: 90.00 111.02 90.00
Closest atoms and distances in Å follow each position.
Space group P2_1/c (No. 14)
Asymmetric unit:
Ca1 0.0811 0.0217 0.1072 [4 per cell]  6 O 2.34-2.53
Ca2 0.3678 0.0216 0.3929 [4 per cell]  6 O 2.33-2.54
Cr1 0.5000 0.0000 0.0000 [2 per cell]  6 O 2.00-2.09
Fe1 0.0000 0.0000 0.5000 [2 per cell]  6 O 1.99-2.16
Fe2 0.3196 0.5539 0.2509 [4 per cell]  4 O 1.87-1.97
O1 0.0630 0.0308 0.6426 [4 per cell]  1 Fe 1.87
O2 0.2520 0.7364 0.5176 [4 per cell]  1 Fe 1.99, 1 Cr 2.01
O3 0.2797 0.2353 0.5173 [4 per cell]  1 Fe 1.99, 1 Cr 2.00
O4 0.2883 0.0274 0.8616 [4 per cell]  1 Fe 1.88, 1 Cr 2.09
O5 0.3701 0.5917 0.7500 [4 per cell]  2 Fe 1.94-1.97

=====

Record 10
First-principles (GGA+U) data for a relaxed Li24MnCr11O36 crystal, as listed in Materials Project.

- total magnetization (μB per atom) = 0.35
- DFT total energy (eV per atom) = -6.27

abc: 15.1792 8.7107 10.2435
angles: 90.00 109.78 90.00
Closest atoms and distances in Å follow each position.
Space group C2 (No. 5)
Asymmetric unit:
Li1 0.0000 0.0003 0.0000 [2 per cell]  6 O 2.10-2.14
Li2 0.0000 0.9995 0.5000 [2 per cell]  6 O 2.11-2.14
Li3 0.9998 0.1619 0.2497 [4 per cell]  6 O 2.04-2.24
Li4 0.0000 0.5002 0.2492 [4 per cell]  6 O 2.05-2.23
Li5 0.0001 0.8374 0.2496 [4 per cell]  6 O 2.04-2.21
Li6 0.1664 0.5002 0.9997 [4 per cell]  6 O 2.08-2.15
Li7 0.1673 0.0013 0.2506 [4 per cell]  6 O 2.03-2.21
Li8 0.1674 0.3389 0.7505 [4 per cell]  6 O 2.05-2.21
Li9 0.1668 0.3397 0.2511 [4 per cell]  6 O 2.06-2.25
Li10 0.1667 0.5000 0.4999 [4 per cell]  6 O 2.11-2.15
Li11 0.1666 0.6597 0.7501 [4 per cell]  6 O 2.06-2.24
Li12 0.1669 0.6613 0.2495 [4 per cell]  6 O 2.07-2.20
Li13 0.1671 0.9993 0.7503 [4 per cell]  6 O 2.03-2.22
Mn1 0.0000 0.6637 0.0000 [2 per cell]  6 O 1.93-1.95
Cr1 0.0000 0.3269 0.0000 [2 per cell]  6 O 1.88-1.99
Cr2 0.0000 0.3404 0.5000 [2 per cell]  6 O 1.92-2.01
Cr3 0.0000 0.6748 0.5000 [2 per cell]  6 O 1.88-1.99
Cr4 0.1625 0.8337 0.9993 [4 per cell]  6 O 1.91-1.99
Cr5 0.1627 0.1636 0.5004 [4 per cell]  6 O 1.88-1.99
Cr6 0.1699 0.1720 0.0012 [4 per cell]  6 O 1.89-2.02
Cr7 0.1704 0.8284 0.5004 [4 per cell]  6 O 1.90-2.03
O1 0.0723 0.5024 0.6142 [4 per cell]  2 Cr 1.92-1.99, 3 Li 2.05-2.14
O2 0.0727 0.5001 0.1134 [4 per cell]  1 Mn 1.93, 1 Cr 1.99, 4 Li 2.05-2.15
O3 0.0780 0.3221 0.3875 [4 per cell]  2 Cr 1.92-1.97, 2 Li 2.05-2.12
O4 0.0803 0.6753 0.8880 [4 per cell]  1 Mn 1.94, 1 Cr 1.95, 3 Li 2.07-2.15
O5 0.0835 0.6840 0.3876 [4 per cell]  2 Cr 1.90-1.98, 2 Li 2.04-2.12
O6 0.0837 0.1834 0.1131 [4 per cell]  2 Cr 1.88-2.01, 1 Li 2.06
O7 0.0839 0.3152 0.8874 [4 per cell]  2 Cr 1.89-1.99, 1 Li 2.04
O8 0.0841 0.8180 0.6128 [4 per cell]  2 Cr 1.88-2.02, 1 Li 2.06
O9 0.0841 0.8206 0.1112 [4 per cell]  1 Cr 1.91, 1 Mn 1.95, 2 Li 2.08-2.10
O10 0.0870 0.1781 0.6118 [4 per cell]  2 Cr 1.88-2.01, 1 Li 2.07
O11 0.0946 0.0029 0.3852 [4 per cell]  2 Cr 1.90-2.03, 1 Li 2.04
O12 0.0951 0.9977 0.8857 [4 per cell]  2 Cr 1.91-2.02, 1 Li 2.04
O13 0.2380 0.0031 0.1147 [4 per cell]  2 Cr 1.94-1.99, 4 Li 2.03-2.16
O14 0.2386 0.9947 0.6152 [4 per cell]  2 Cr 1.93-1.99, 3 Li 2.03-2.15
O15 0.2468 0.1784 0.3882 [4 per cell]  2 Cr 1.90-1.99, 2 Li 2.07-2.11
O16 0.2472 0.8201 0.8876 [4 per cell]  2 Cr 1.89-1.99, 1 Li 2.07
O17 0.2494 0.8185 0.3886 [4 per cell]  2 Cr 1.92-1.97, 2 Li 2.07-2.11
O18 0.2503 0.1828 0.8882 [4 per cell]  2 Cr 1.94-1.95, 2 Li 2.05-2.11

=====

Record 11
First-principles (GGA+U) data for a relaxed CoO crystal, as listed in Materials Project.

- total magnetization (μB per atom) = 1.48
- DFT total energy (eV per atom) = -5.77

abc: 10.0329 10.2124 10.2626
angles: 84.07 89.91 86.16
Closest atoms and distances in Å follow each position.
Space group P1 (No. 1)
Asymmetric unit:
Co1 0.0000 0.0000 0.0000 [1 per cell]  4 O 1.89-2.01
Co2 0.0001 0.2211 0.4307 [1 per cell]  4 O 1.99-2.09
Co3 0.0676 0.6619 0.0441 [1 per cell]  3 O 1.93-1.97
Co4 0.0790 0.2483 0.7896 [1 per cell]  3 O 1.85-1.98
Co5 0.1091 0.7086 0.4326 [1 per cell]  3 O 1.89-2.00
Co6 0.1207 0.4438 0.3248 [1 per cell]  3 O 1.84-1.92
Co7 0.1881 0.5821 0.7451 [1 per cell]  3 O 1.84-1.92
Co8 0.2082 0.0249 0.2556 [1 per cell]  4 O 1.86-2.04
Co9 0.2160 0.9310 0.5154 [1 per cell]  3 O 1.90-1.99
Co10 0.2281 0.8846 0.8405 [1 per cell]  3 O 1.89-1.97
Co11 0.2333 0.4254 0.0351 [1 per cell]  4 O 1.99-2.07
Co12 0.2358 0.2330 0.5419 [1 per cell]  4 O 1.90-2.01
Co13 0.3008 0.1286 0.0086 [1 per cell]  3 O 1.92-2.02
Co14 0.3197 0.7364 0.2358 [1 per cell]  3 O 1.90-2.05
Co15 0.3750 0.4991 0.5067 [1 per cell]  4 O 1.98-2.04
Co16 0.3756 0.3388 0.8029 [1 per cell]  5 O 2.03-2.20
Co17 0.3934 0.7285 0.6806 [1 per cell]  2 O 1.84-1.98
Co18 0.4025 0.2509 0.2944 [1 per cell]  4 O 1.93-2.08
Co19 0.4033 0.9859 0.6903 [1 per cell]  4 O 1.99-2.18
Co20 0.4105 0.6550 0.9517 [1 per cell]  4 O 1.98-2.19
Co21 0.4804 0.5227 0.2184 [1 per cell]  3 O 1.88-1.92
Co22 0.4994 0.9211 0.1320 [1 per cell]  3 O 2.03-2.05
Co23 0.5186 0.0177 0.3904 [1 per cell]  3 O 1.94-2.00
Co24 0.5498 0.0453 0.9140 [1 per cell]  4 O 1.92-2.02
Co25 0.5516 0.2120 0.6565 [1 per cell]  4 O 1.87-2.00
Co26 0.5531 0.7292 0.4624 [1 per cell]  3 O 1.89-2.04
Co27 0.5751 0.3759 0.0163 [1 per cell]  4 O 1.99-2.13
Co28 0.6206 0.5334 0.6891 [1 per cell]  4 O 1.92-2.14
Co29 0.6641 0.8464 0.7880 [1 per cell]  4 O 1.97-2.09
Co30 0.7088 0.6905 0.0616 [1 per cell]  4 O 1.93-2.00
Co31 0.7145 0.0936 0.1336 [1 per cell]  3 O 1.88-2.01
Co32 0.7290 0.2410 0.4590 [1 per cell]  4 O 1.96-2.08
Co33 0.7815 0.2641 0.8536 [1 per cell]  3 O 1.92-2.07
Co34 0.8090 0.8399 0.2523 [1 per cell]  4 O 1.82-1.98
Co35 0.8236 0.5491 0.3980 [1 per cell]  4 O 1.96-2.10
Co36 0.8666 0.5408 0.8581 [1 per cell]  3 O 1.85-1.88
Co37 0.8681 0.9040 0.5067 [1 per cell]  3 O 1.82-1.92
Co38 0.8929 0.3566 0.1570 [1 per cell]  3 O 1.95-2.01
Co39 0.8972 0.0878 0.6752 [1 per cell]  4 O 1.99-2.21
Co40 0.9947 0.8000 0.7605 [1 per cell]  4 O 1.94-2.06
O1 0.0053 0.6087 0.7551 [1 per cell]  3 Co 1.84-1.96
O2 0.0174 0.5553 0.4190 [1 per cell]  3 Co 1.84-1.96
O3 0.0494 0.2587 0.6111 [1 per cell]  3 Co 1.85-2.01
O4 0.0687 0.8314 0.9334 [1 per cell]  4 Co 1.94-2.00
O5 0.0719 0.4232 0.1488 [1 per cell]  3 Co 1.91-1.99
O6 0.1241 0.9323 0.6774 [1 per cell]  3 Co 1.90-2.06
O7 0.1384 0.0719 0.0886 [1 per cell]  3 Co 1.86-1.92
O8 0.1719 0.1088 0.4205 [1 per cell]  4 Co 1.99-2.01
O9 0.2114 0.2878 0.9074 [1 per cell]  4 Co 1.89-2.04
O10 0.2243 0.8446 0.3497 [1 per cell]  4 Co 1.90-1.99
O11 0.2591 0.6534 0.0879 [1 per cell]  3 Co 1.93-2.06
O12 0.2600 0.6472 0.5789 [1 per cell]  4 Co 1.92-2.15
O13 0.2864 0.3720 0.4044 [1 per cell]  4 Co 1.92-2.06
O14 0.3227 0.5153 0.8706 [1 per cell]  4 Co 1.91-2.07
O15 0.3645 0.9835 0.8991 [1 per cell]  3 Co 1.89-2.02
O16 0.3676 0.1806 0.6733 [1 per cell]  3 Co 1.90-1.99
O17 0.3972 0.0747 0.2111 [1 per cell]  4 Co 2.04-2.21
O18 0.4067 0.3786 0.1425 [1 per cell]  4 Co 1.92-2.13
O19 0.4457 0.8868 0.5266 [1 per cell]  4 Co 2.00-2.23
O20 0.4476 0.6210 0.3616 [1 per cell]  4 Co 1.88-2.05
O21 0.4903 0.4027 0.6459 [1 per cell]  4 Co 1.98-2.05
O22 0.5089 0.2297 0.9257 [1 per cell]  3 Co 1.92-2.03
O23 0.5431 0.6978 0.7852 [1 per cell]  2 Co 1.84-2.01
O24 0.5451 0.1964 0.4310 [1 per cell]  3 Co 1.95-2.02
O25 0.5692 0.5651 0.0572 [1 per cell]  4 Co 1.90-2.04
O26 0.5900 0.0311 0.7269 [1 per cell]  4 Co 1.93-2.02
O27 0.6162 0.8602 0.9843 [1 per cell]  4 Co 2.00-2.09
O28 0.6426 0.9542 0.2621 [1 per cell]  4 Co 1.94-2.03
O29 0.6965 0.6137 0.5310 [1 per cell]  3 Co 1.89-2.00
O30 0.7171 0.4462 0.8456 [1 per cell]  3 Co 1.85-1.98
O31 0.7339 0.2395 0.6615 [1 per cell]  3 Co 1.87-2.08
O32 0.7429 0.6784 0.2542 [1 per cell]  3 Co 1.82-2.01
O33 0.7548 0.2696 0.0718 [1 per cell]  3 Co 1.91-2.09
O34 0.8281 0.8855 0.6904 [1 per cell]  3 Co 1.92-1.97
O35 0.8490 0.3545 0.3483 [1 per cell]  4 Co 2.00-2.10
O36 0.8538 0.9641 0.1148 [1 per cell]  3 Co 1.87-1.91
O37 0.8661 0.0901 0.4811 [1 per cell]  4 Co 1.89-2.01
O38 0.8851 0.6282 0.0094 [1 per cell]  3 Co 1.88-1.93
O39 0.9354 0.1351 0.8541 [1 per cell]  4 Co 1.96-2.01
O40 0.9484 0.8256 0.3731 [1 per cell]  3 Co 1.82-2.00